An optimized crystal structure of PrBi3. Source: Materials Project, functional meta-GGA r2SCAN.

Cell: 6.5778 6.5778 6.5778 Å, 138.14 138.14 60.69°
Atoms (fractional coordinates):
Pr 0.0000 0.0000 0.0000
Bi 0.2500 0.7500 0.5000
Bi 0.5000 0.5000 0.0000
Bi 0.7500 0.2500 0.5000

Summary:
Symmetry = No. 139


An optimized crystal structure of ZnNi3. Source: Materials Project, functional meta-GGA r2SCAN.

Cell: 4.2739 4.2739 4.2739 Å, 130.45 130.45 72.69°
Atoms (fractional coordinates):
Zn 0.0000 0.0000 0.0000
Ni 0.2500 0.7500 0.5000
Ni 0.5000 0.5000 0.0000
Ni 0.7500 0.2500 0.5000

Summary:
Symmetry = No. 139


An optimized crystal structure of Hf2FeIr. Source: Materials Project, functional meta-GGA r2SCAN.

Cell: 4.5453 4.5453 4.5453 Å, 60.00 60.00 60.00°
Atoms (fractional coordinates):
Hf 0.2500 0.2500 0.2500
Hf 0.7500 0.7500 0.7500
Fe 0.0000 0.0000 0.0000
Ir 0.5000 0.5000 0.5000

Summary:
Symmetry = No. 225


An optimized crystal structure of SrCrF4. Source: Materials Project, functional meta-GGA r2SCAN.

Cell: 6.8870 6.8870 6.8870 Å, 134.38 128.95 70.85°
Atoms (fractional coordinates):
Sr 0.0000 0.0000 0.0000
Sr 0.5000 0.5000 0.0000
Cr 0.2500 0.7500 0.5000
Cr 0.7500 0.2500 0.5000
F 0.0714 0.5313 0.8555
F 0.1757 0.0313 0.4599
F 0.3243 0.7842 0.8555
F 0.4286 0.2842 0.4599
F 0.5714 0.7158 0.5401
F 0.6757 0.2158 0.1445
F 0.8243 0.9687 0.5401
F 0.9286 0.4687 0.1445

Summary:
Symmetry = No. 72


An optimized crystal structure of Zr4N3OF5. Source: Materials Project, functional meta-GGA r2SCAN.

Cell: 5.1505 5.3699 21.5420 Å, 90.00 90.26 90.00°
Atoms (fractional coordinates):
Zr 0.1868 0.2127 0.1279
Zr 0.1868 0.2873 0.6279
Zr 0.1906 0.7298 0.7500
Zr 0.1906 0.7702 0.2500
Zr 0.1976 0.7332 0.5008
Zr 0.1976 0.7668 0.0008
Zr 0.1992 0.2196 0.3716
Zr 0.1992 0.2804 0.8716
Zr 0.8008 0.7196 0.1284
Zr 0.8008 0.7804 0.6284
Zr 0.8024 0.2332 0.9992
Zr 0.8024 0.2668 0.4992
Zr 0.8094 0.2298 0.7500
Zr 0.8094 0.2702 0.2500
Zr 0.8132 0.7127 0.3721
Zr 0.8132 0.7873 0.8721
N 0.0292 0.0357 0.9379
N 0.0292 0.4643 0.4379
N 0.0415 0.0014 0.6856
N 0.0415 0.4986 0.1856
N 0.0441 0.0021 0.8122
N 0.0441 0.4979 0.3123
N 0.9559 0.5021 0.6878
N 0.9559 0.9979 0.1878
N 0.9585 0.5014 0.8144
N 0.9585 0.9986 0.3144
N 0.9708 0.5357 0.5621
N 0.9708 0.9643 0.0621
O 0.0144 0.0354 0.5602
O 0.0144 0.4646 0.0602
O 0.9856 0.5354 0.9398
O 0.9856 0.9646 0.4398
F 0.4231 0.1262 0.2516
F 0.4231 0.3738 0.7516
F 0.4312 0.6235 0.6517
F 0.4312 0.8765 0.1517
F 0.4352 0.6354 0.8502
F 0.4352 0.8646 0.3502
F 0.4523 0.1200 0.0477
F 0.4523 0.3800 0.5477
F 0.4766 0.1229 0.4484
F 0.4766 0.3771 0.9484
F 0.5234 0.6229 0.0516
F 0.5234 0.8771 0.5516
F 0.5477 0.6200 0.4523
F 0.5477 0.8800 0.9523
F 0.5648 0.1354 0.6498
F 0.5648 0.3646 0.1498
F 0.5688 0.1235 0.8483
F 0.5688 0.3765 0.3483
F 0.5769 0.6262 0.2484
F 0.5769 0.8738 0.7484

Summary:
Symmetry = No. 14


An optimized crystal structure of Tl4Mo5O17. Source: Materials Project, functional meta-GGA r2SCAN.

Cell: 7.6818 10.7324 10.8844 Å, 74.51 80.51 80.28°
Atoms (fractional coordinates):
Tl 0.0773 0.2668 0.2858
Tl 0.1274 0.1796 0.9775
Tl 0.2465 0.4280 0.5896
Tl 0.3985 0.8994 0.3124
Tl 0.6015 0.1006 0.6876
Tl 0.7535 0.5720 0.4104
Tl 0.8726 0.8204 0.0225
Tl 0.9227 0.7332 0.7142
Mo 0.1019 0.0652 0.6755
Mo 0.2953 0.5733 0.2256
Mo 0.3105 0.5191 0.9256
Mo 0.3703 0.8169 0.9749
Mo 0.4224 0.7590 0.6796
Mo 0.5776 0.2410 0.3204
Mo 0.6297 0.1831 0.0251
Mo 0.6895 0.4809 0.0744
Mo 0.7047 0.4267 0.7744
Mo 0.8981 0.9348 0.3245
O 0.0254 0.1372 0.5294
O 0.0857 0.9898 0.2235
O 0.1219 0.5049 0.3312
O 0.1813 0.1862 0.7247
O 0.1944 0.4828 0.0803
O 0.1966 0.7265 0.1219
O 0.2075 0.4525 0.8355
O 0.2086 0.9467 0.9264
O 0.2442 0.6980 0.8691
O 0.2837 0.9283 0.6559
O 0.2907 0.6936 0.6063
O 0.3940 0.2104 0.4308
O 0.4034 0.6350 0.3186
O 0.4725 0.4168 0.2251
O 0.4787 0.1807 0.1737
O 0.4787 0.6086 0.0424
O 0.4905 0.8647 0.0708
O 0.5095 0.1353 0.9292
O 0.5213 0.3914 0.9576
O 0.5213 0.8193 0.8263
O 0.5275 0.5832 0.7749
O 0.5966 0.3650 0.6814
O 0.6060 0.7896 0.5692
O 0.7093 0.3064 0.3937
O 0.7163 0.0717 0.3441
O 0.7558 0.3020 0.1309
O 0.7914 0.0533 0.0736
O 0.7925 0.5475 0.1645
O 0.8034 0.2735 0.8781
O 0.8056 0.5172 0.9197
O 0.8187 0.8138 0.2753
O 0.8781 0.4951 0.6688
O 0.9143 0.0102 0.7765
O 0.9746 0.8628 0.4706

Summary:
Symmetry = No. 2


The evaluated uncorrected energy for the records listed, in turn: -51.716 -11.312 -39.956 -10.425 -13.999 -19.011 eV per atom.
The evaluated total magnetization for the records listed, in turn: 0.000 0.392 0.246 0.667 0.000 0.000 μB/atom.